[1]
Here is crystalline CaLaMg2 at its relaxed geometry from the Materials Project. Energies are from GGA-PBE.

Lattice parameters (Å, degrees): 7.926 7.926 7.926 90.00 90.00 90.00
Space group Fm-3m (No. 225)
Asymmetric unit:
Ca 0.000 0.000 0.000 [4 per cell]
La 0.000 0.000 0.500 [4 per cell]
Mg 0.250 0.250 0.250 [8 per cell]



[2]
Here is crystalline Ca2AlH2OF7 at its relaxed geometry from the Materials Project. Energies are from GGA-PBE.

Calculated values
The total magnetization comes out at 0.037 Bohr magnetons per cell.

Lattice parameters (Å, degrees): 5.917 5.934 9.398 78.62 77.55 73.15
Space group P-1 (No. 2)
Asymmetric unit:
Ca 0.084 0.084 0.145 [2 per cell]
Ca 0.342 0.343 0.707 [2 per cell]
Al 0.000 0.000 0.500 [1 per cell]
Al 0.500 0.500 0.000 [1 per cell]
H 0.224 0.466 0.388 [2 per cell]
H 0.441 0.249 0.391 [2 per cell]
O 0.381 0.409 0.420 [2 per cell]
F 0.076 0.719 0.627 [2 per cell]
F 0.092 0.145 0.624 [2 per cell]
F 0.149 0.136 0.897 [2 per cell]
F 0.259 0.612 0.886 [2 per cell]
F 0.303 0.940 0.386 [2 per cell]
F 0.324 0.323 0.128 [2 per cell]
F 0.384 0.739 0.119 [2 per cell]



[3]
Here is crystalline Ba2EuNbO6 at its relaxed geometry from the Materials Project. Energies are from GGA-PBE.

Calculated values
The total magnetization comes out at 24.000 Bohr magnetons per cell.

Lattice parameters (Å, degrees): 8.630 8.630 8.630 90.00 90.00 90.00
Space group Pn-3 (No. 201, origin choice 2)
Asymmetric unit:
Ba 0.250 0.250 0.250 [2 per cell]
Ba 0.250 0.250 0.750 [6 per cell]
Eu 0.000 0.000 0.000 [4 per cell]
Nb 0.000 0.000 0.500 [4 per cell]
O 0.015 0.517 0.766 [24 per cell]



[4]
Here is crystalline NaOs2O6 at its relaxed geometry from the Materials Project. Energies are from GGA-PBE.

Calculated values
The total magnetization comes out at 0.052 Bohr magnetons per cell.

Lattice parameters (Å, degrees): 10.194 10.194 10.194 90.00 90.00 90.00
Space group Fd-3m (No. 227, origin choice 2)
Asymmetric unit:
Na 0.125 0.125 0.125 [8 per cell]
Os 0.000 0.000 0.500 [16 per cell]
O 0.067 0.375 0.875 [48 per cell]



[5]
Here is crystalline GaHgO2 at its relaxed geometry from the Materials Project. Energies are from GGA-PBE.

Calculated values
The total magnetization comes out at 0.464 Bohr magnetons per cell.

Lattice parameters (Å, degrees): 3.0457 3.0457 20.4739 90.00 90.00 120.00
Space group R-3m (No. 166, hexagonal axes)
Asymmetric unit:
Ga 0.0000 0.0000 0.0000 [3 per cell]
Hg 0.0000 0.0000 0.5000 [3 per cell]
O 0.0000 0.0000 0.3828 [6 per cell]



[6]
Here is crystalline Na4HfTiSi3O12 at its relaxed geometry from the Materials Project. Energies are from GGA-PBE.

Calculated values
The total magnetization comes out at 0.000 Bohr magnetons per cell.

Lattice parameters (Å, degrees): 9.1184 9.1184 22.4448 90.00 90.00 120.00
Space group P3 (No. 143)
Asymmetric unit:
Na 0.0000 0.0000 0.0811 [1 per cell]
Na 0.0000 0.0000 0.5833 [1 per cell]
Na 0.9999 0.6342 0.3333 [3 per cell]
Na 0.0009 0.3692 0.8340 [3 per cell]
Na 0.0340 0.7008 0.6670 [3 per cell]
Na 0.0365 0.3375 0.1655 [3 per cell]
Na 0.3334 0.2970 0.0000 [3 per cell]
Na 0.3333 0.6667 0.2481 [1 per cell]
Na 0.3333 0.6667 0.7529 [1 per cell]
Na 0.3364 0.0349 0.5008 [3 per cell]
Na 0.6667 0.3333 0.4182 [1 per cell]
Na 0.6667 0.3333 0.9170 [1 per cell]
Hf 0.0000 0.0000 0.2294 [1 per cell]
Hf 0.0000 0.0000 0.4357 [1 per cell]
Hf 0.0000 0.0000 0.7320 [1 per cell]
Hf 0.3333 0.6667 0.3989 [1 per cell]
Hf 0.3333 0.6667 0.6034 [1 per cell]
Hf 0.6667 0.3333 0.2675 [1 per cell]
Ti 0.0000 0.0000 0.9345 [1 per cell]
Ti 0.3333 0.6667 0.0997 [1 per cell]
Ti 0.3333 0.6667 0.9002 [1 per cell]
Ti 0.6667 0.3333 0.0644 [1 per cell]
Ti 0.6667 0.3333 0.5652 [1 per cell]
Ti 0.6667 0.3333 0.7697 [1 per cell]
Si 0.0000 0.2946 0.3331 [3 per cell]
Si 0.0009 0.7067 0.8348 [3 per cell]
Si 0.0350 0.6632 0.5014 [3 per cell]
Si 0.0434 0.3764 0.9999 [3 per cell]
Si 0.3767 0.3376 0.1641 [3 per cell]
Si 0.3814 0.0485 0.6672 [3 per cell]
O 0.0183 0.8335 0.4965 [3 per cell]
O 0.0266 0.1883 0.9937 [3 per cell]
O 0.0341 0.2076 0.2746 [3 per cell]
O 0.0376 0.8267 0.7757 [3 per cell]
O 0.1209 0.6286 0.4426 [3 per cell]
O 0.1359 0.5016 0.9421 [3 per cell]
O 0.1399 0.5030 0.6636 [3 per cell]
O 0.1491 0.6424 0.1580 [3 per cell]
O 0.1591 0.7003 0.5592 [3 per cell]
O 0.1679 0.4685 0.0579 [3 per cell]
O 0.1700 0.4814 0.3379 [3 per cell]
O 0.1706 0.6884 0.8417 [3 per cell]
O 0.1898 0.1654 0.1685 [3 per cell]
O 0.1927 0.0297 0.6710 [3 per cell]
O 0.1970 0.1649 0.8919 [3 per cell]
O 0.2090 0.0343 0.3917 [3 per cell]
O 0.4716 0.1682 0.6084 [3 per cell]
O 0.4726 0.3044 0.1074 [3 per cell]
O 0.4803 0.3090 0.8287 [3 per cell]
O 0.4816 0.1698 0.3286 [3 per cell]
O 0.4928 0.3716 0.2239 [3 per cell]
O 0.5027 0.1400 0.7258 [3 per cell]
O 0.5042 0.1446 0.0060 [3 per cell]
O 0.5070 0.3551 0.5073 [3 per cell]



Calculated E_tot, -2.645; -5.650; -8.194; -7.027; -4.432; -7.412 eV per atom (same order as the records).